Computed, not measured: an optimized crystal structure of DyB2Ir2 at the meta-GGA r2SCAN level of DFT.

Output
M_tot   0.0000 μB per atom
VASP energy   -155.65 eV per formula unit

Lattice parameters (Å, degrees): 5.453 5.453 6.198 103.87 103.87 117.06
Sites, in units of the cell vectors:
Dy 0.750 0.250 0.500
Dy 0.000 0.000 0.000
B 0.070 0.930 0.500
B 0.680 0.320 0.000
B 0.430 0.570 0.500
B 0.320 0.680 0.000
Ir 0.124 0.624 0.247
Ir 0.376 0.876 0.753
Ir 0.626 0.626 0.253
Ir 0.374 0.374 0.747